Entry 1:
The following is a meta-GGA r2SCAN calculation of crystalline Dy3MnB7 at its relaxed geometry, from the Materials Project.

The value obtained for the mass density is 8.17 Mg/m³. As for the formation energy: -0.65 eV per atom. As for the total energy: -15.386 eV per atom.

The structure belongs to space group Cmcm (No. 63); the cell edges are 3.4141, 15.7531 and 9.3381 Å and the angles 90.00°, 90.00° and 90.00°. The inequivalent atoms are Dy at (0.0000, 0.1053, 0.0601), Dy at (0.0000, 0.2432, 0.7500), Mn at (0.0000, 0.0542, 0.7500), B at (0.0000, 0.2724, 0.0336), B at (0.0000, 0.3692, 0.1519), B at (0.0000, 0.4596, 0.7500) and B at (0.0000, 0.4786, 0.0974).


Entry 2:
The following is a meta-GGA r2SCAN calculation of crystalline DyB4Mo at its relaxed geometry, from the Materials Project.

The value obtained for the mass density is 7.91 Mg/m³. As for the formation energy: -0.68 eV per atom. As for the total energy: -15.256 eV per atom.

The structure belongs to space group Pbam (No. 55); the cell edges are 6.0201, 11.6281 and 3.6208 Å and the angles 90.00°, 90.00° and 90.00°. The inequivalent atoms are Dy at (0.1275, 0.1496, 0.0000), B at (0.0235, 0.6934, 0.5000), B at (0.1138, 0.5474, 0.5000), B at (0.1336, 0.9681, 0.5000), B at (0.2135, 0.8140, 0.5000) and Mo at (0.1290, 0.4169, 0.0000).


Entry 3:
The following is a meta-GGA r2SCAN calculation of crystalline DyB3Mo at its relaxed geometry, from the Materials Project.

The value obtained for the mass density is 8.42 Mg/m³. As for the formation energy: -0.66 eV per atom. As for the total energy: -16.683 eV per atom.

The structure belongs to space group P2_1/m (No. 11); the cell edges are 5.4309, 3.1593 and 6.8403 Å and the angles 90.00°, 102.16° and 90.00°. The inequivalent atoms are Dy at (0.1751, 0.2500, 0.2097), B at (0.0835, 0.7500, 0.4933), B at (0.4124, 0.7500, 0.4958), B at (0.4188, 0.7500, 0.9749) and Mo at (0.3123, 0.2500, 0.7194).


Entry 4:
The following is a meta-GGA r2SCAN calculation of crystalline Dy3B7Mo at its relaxed geometry, from the Materials Project.

The value obtained for the mass density is 8.35 Mg/m³. As for the formation energy: -0.66 eV per atom. As for the total energy: -16.425 eV per atom.

The structure belongs to space group Cmcm (No. 63); the cell edges are 3.4703, 15.9717 and 9.4625 Å and the angles 90.00°, 90.00° and 90.00°. The inequivalent atoms are Dy at (0.0000, 0.1065, 0.0603), Dy at (0.0000, 0.2432, 0.7500), B at (0.0000, 0.2726, 0.0334), B at (0.0000, 0.3654, 0.1474), B at (0.0000, 0.4564, 0.7500), B at (0.0000, 0.4802, 0.0923) and Mo at (0.0000, 0.0537, 0.7500).


Entry 5:
The following is a meta-GGA r2SCAN calculation of crystalline DyB7Mo3 at its relaxed geometry, from the Materials Project.

The value obtained for the mass density is 7.97 Mg/m³. As for the formation energy: -0.59 eV per atom. As for the total energy: -15.288 eV per atom.

The structure belongs to space group Pnma (No. 62); the cell edges are 11.0079, 3.0967 and 12.8562 Å and the angles 90.00°, 90.00° and 90.00°. The inequivalent atoms are Dy at (0.0513, 0.2500, 0.1919), B at (0.0106, 0.7500, 0.3629), B at (0.0376, 0.7500, 0.0180), B at (0.0679, 0.7500, 0.6158), B at (0.1663, 0.7500, 0.3332), B at (0.1864, 0.7500, 0.0666), B at (0.2304, 0.7500, 0.5817), B at (0.2488, 0.7500, 0.8267), Mo at (0.1179, 0.2500, 0.4731), Mo at (0.1600, 0.2500, 0.9361) and Mo at (0.1843, 0.2500, 0.7017).


Entry 6:
The following is a meta-GGA r2SCAN calculation of crystalline DyNi12B6 at its relaxed geometry, from the Materials Project.

The value obtained for the mass density is 8.22 Mg/m³. As for the formation energy: -0.40 eV per atom. As for the total energy: -11.968 eV per atom.

The structure belongs to space group Cmc2_1 (No. 36); the cell edges are 9.4649, 7.2956 and 10.9021 Å and the angles 90.00°, 90.00° and 90.00°. The inequivalent atoms are Dy at (0.0000, 0.1670, 0.0000), Ni at (0.0000, 0.2187, 0.6040), Ni at (0.0000, 0.4341, 0.4239), Ni at (0.1307, 0.3259, 0.2393), Ni at (0.1308, 0.3428, 0.7813), Ni at (0.1325, 0.0137, 0.7608), Ni at (0.1826, 0.1864, 0.4427), Ni at (0.1935, 0.4639, 0.5730), B at (0.0000, 0.1629, 0.3429), B at (0.0000, 0.4881, 0.6604), B at (0.2068, 0.1940, 0.6278) and B at (0.2156, 0.4580, 0.3902).


Entry 7:
The following is a meta-GGA r2SCAN calculation of crystalline DyNi2B2 at its relaxed geometry, from the Materials Project.

The value obtained for the mass density is 8.38 Mg/m³. As for the formation energy: -0.60 eV per atom. As for the total energy: -14.729 eV per atom.

The structure belongs to space group C2/c (No. 15); the cell edges are 8.3694, 5.2416 and 6.8074 Å and the angles 90.00°, 126.87° and 90.00°. The inequivalent atoms are Dy at (0.0000, 0.1200, 0.2500), Ni at (0.1250, 0.4047, 0.6997) and B at (0.1708, 0.3266, 0.0257).


Entry 8:
The following is a meta-GGA r2SCAN calculation of crystalline Dy3Ni7B2 at its relaxed geometry, from the Materials Project.

The value obtained for the mass density is 9.82 Mg/m³. As for the formation energy: -0.51 eV per atom. As for the total energy: -16.718 eV per atom.

The structure belongs to space group P6_3/mmc (No. 194); the cell edges are 5.0396, 5.0396 and 14.1526 Å and the angles 90.00°, 90.00° and 120.00°. The inequivalent atoms are Dy at (0.3333, 0.6667, 0.0318), Dy at (0.3333, 0.6667, 0.2500), Ni at (0.0000, 0.0000, 0.0000), Ni at (0.1653, 0.3306, 0.6489), B at (0.0000, 0.0000, 0.2500) and B at (0.3333, 0.6667, 0.7500).